1.
VASP calculation (GGA+U) on a relaxed MgMn6O8F4 crystal.

a b c (Å): 3.061 5.237 14.397
angles (deg): 79.63 89.98 89.97
Element x y z (fractional)
Mg (0.000, 0.000, 0.000)
Mn (0.492, 0.008, 0.663)
Mn (0.492, 0.993, 0.337)
Mn (0.500, 0.500, 0.000)
Mn (0.993, 0.460, 0.781)
Mn (0.993, 0.500, 0.500)
Mn (0.993, 0.541, 0.219)
O (0.000, 0.381, 0.928)
O (0.492, 0.320, 0.248)
O (0.493, 0.317, 0.567)
O (0.493, 0.682, 0.753)
O (0.493, 0.684, 0.433)
O (0.987, 0.142, 0.726)
O (0.987, 0.860, 0.274)
O (0.999, 0.619, 0.072)
F (0.500, 0.103, 0.075)
F (0.500, 0.897, 0.926)
F (0.999, 0.160, 0.404)
F (0.999, 0.840, 0.597)



2.
VASP calculation (GGA+U) on a relaxed CsLi7Ni2O6 crystal.

a b c (Å): 5.427 5.427 10.250
angles (deg): 93.22 93.22 40.06
Element x y z (fractional)
Cs (0.000, 0.000, 0.000)
Li (0.166, 0.166, 0.273)
Li (0.249, 0.249, 0.583)
Li (0.269, 0.269, 0.894)
Li (0.500, 0.500, 0.500)
Li (0.731, 0.731, 0.106)
Li (0.751, 0.751, 0.417)
Li (0.834, 0.834, 0.727)
Ni (0.417, 0.417, 0.258)
Ni (0.583, 0.583, 0.742)
O (0.296, 0.296, 0.115)
O (0.328, 0.328, 0.412)
O (0.400, 0.400, 0.735)
O (0.600, 0.600, 0.265)
O (0.672, 0.672, 0.588)
O (0.704, 0.704, 0.885)



3.
VASP calculation (GGA+U) on a relaxed Mn7PbO12 crystal.

a b c (Å): 6.547 6.547 6.547
angles (deg): 109.49 109.49 109.49
Element x y z (fractional)
Mn (0.000, 0.000, 0.000)
Mn (0.000, 0.000, 0.500)
Mn (0.000, 0.500, 0.000)
Mn (0.000, 0.500, 0.500)
Mn (0.500, 0.000, 0.000)
Mn (0.500, 0.000, 0.500)
Mn (0.500, 0.500, 0.000)
Pb (0.500, 0.500, 0.500)
O (0.011, 0.183, 0.318)
O (0.183, 0.318, 0.011)
O (0.190, 0.692, 0.368)
O (0.308, 0.632, 0.810)
O (0.318, 0.011, 0.183)
O (0.368, 0.190, 0.692)
O (0.632, 0.810, 0.308)
O (0.682, 0.989, 0.817)
O (0.692, 0.368, 0.190)
O (0.810, 0.308, 0.632)
O (0.817, 0.682, 0.989)
O (0.989, 0.817, 0.682)



4.
VASP calculation (GGA+U) on a relaxed BaNdEuVO6 crystal.

a b c (Å): 5.978 5.978 5.978
angles (deg): 60.00 60.00 60.00
Element x y z (fractional)
Ba (0.000, 0.000, 0.000)
Nd (0.250, 0.250, 0.250)
Eu (0.500, 0.500, 0.500)
V (0.750, 0.750, 0.750)
O (0.523, 0.523, 0.977)
O (0.523, 0.977, 0.523)
O (0.523, 0.977, 0.977)
O (0.977, 0.523, 0.523)
O (0.977, 0.523, 0.977)
O (0.977, 0.977, 0.523)



5.
VASP calculation (GGA+U) on a relaxed Ag2Mo3O12 crystal.

a b c (Å): 13.872 7.754 9.278
angles (deg): 90.00 90.00 90.00
Element x y z (fractional)
Ag (0.000, 0.000, 0.000)
Ag (0.000, 0.500, 0.000)
Ag (0.197, 0.250, 0.054)
Ag (0.303, 0.750, 0.554)
Ag (0.500, 0.000, 0.500)
Ag (0.500, 0.500, 0.500)
Ag (0.697, 0.250, 0.446)
Ag (0.803, 0.750, 0.946)
Mo (0.097, 0.250, 0.666)
Mo (0.101, 0.502, 0.379)
Mo (0.101, 0.998, 0.379)
Mo (0.399, 0.002, 0.879)
Mo (0.399, 0.498, 0.879)
Mo (0.403, 0.750, 0.166)
Mo (0.597, 0.250, 0.834)
Mo (0.601, 0.502, 0.121)
Mo (0.601, 0.998, 0.121)
Mo (0.899, 0.002, 0.621)
Mo (0.899, 0.498, 0.621)
Mo (0.903, 0.750, 0.334)
O (0.060, 0.015, 0.610)
O (0.060, 0.485, 0.610)
O (0.069, 0.750, 0.373)
O (0.071, 0.250, 0.856)
O (0.091, 0.250, 0.424)
O (0.100, 0.750, 0.901)
O (0.103, 0.041, 0.190)
O (0.103, 0.459, 0.190)
O (0.148, 0.750, 0.788)
O (0.221, 0.250, 0.655)
O (0.221, 0.536, 0.428)
O (0.221, 0.964, 0.428)
O (0.279, 0.036, 0.928)
O (0.279, 0.464, 0.928)
O (0.279, 0.750, 0.155)
O (0.352, 0.250, 0.288)
O (0.397, 0.541, 0.690)
O (0.397, 0.959, 0.690)
O (0.400, 0.250, 0.401)
O (0.409, 0.750, 0.924)
O (0.429, 0.750, 0.356)
O (0.431, 0.250, 0.873)
O (0.440, 0.515, 0.110)
O (0.440, 0.985, 0.110)
O (0.560, 0.015, 0.890)
O (0.560, 0.485, 0.890)
O (0.569, 0.750, 0.127)
O (0.571, 0.250, 0.644)
O (0.591, 0.250, 0.076)
O (0.600, 0.750, 0.599)
O (0.603, 0.041, 0.310)
O (0.603, 0.459, 0.310)
O (0.648, 0.750, 0.712)
O (0.721, 0.250, 0.845)
O (0.721, 0.536, 0.072)
O (0.721, 0.964, 0.072)
O (0.779, 0.036, 0.572)
O (0.779, 0.464, 0.572)
O (0.779, 0.750, 0.345)
O (0.852, 0.250, 0.212)
O (0.897, 0.541, 0.810)
O (0.897, 0.959, 0.810)
O (0.900, 0.250, 0.099)
O (0.909, 0.750, 0.576)
O (0.929, 0.750, 0.144)
O (0.931, 0.250, 0.627)
O (0.940, 0.515, 0.390)
O (0.940, 0.985, 0.390)



6.
VASP calculation (GGA+U) on a relaxed Ba3Ti3Fe3Bi2O18 crystal.

a b c (Å): 5.637 5.637 13.887
angles (deg): 90.00 90.00 120.00
Element x y z (fractional)
Ba (0.000, 0.000, 0.000)
Ba (0.000, 0.000, 0.491)
Ba (0.667, 0.333, 0.671)
Ti (0.000, 0.000, 0.242)
Ti (0.333, 0.667, 0.567)
Ti (0.667, 0.333, 0.413)
Fe (0.000, 0.000, 0.758)
Fe (0.333, 0.667, 0.088)
Fe (0.667, 0.333, 0.924)
Bi (0.333, 0.667, 0.799)
Bi (0.667, 0.333, 0.202)
O (0.164, 0.327, 0.169)
O (0.164, 0.836, 0.169)
O (0.174, 0.347, 0.678)
O (0.174, 0.826, 0.678)
O (0.339, 0.170, 0.839)
O (0.349, 0.175, 0.330)
O (0.502, 0.004, 0.505)
O (0.502, 0.498, 0.505)
O (0.503, 0.007, 0.006)
O (0.503, 0.497, 0.006)
O (0.653, 0.826, 0.678)
O (0.673, 0.836, 0.169)
O (0.825, 0.175, 0.330)
O (0.825, 0.651, 0.330)
O (0.830, 0.170, 0.839)
O (0.830, 0.661, 0.839)
O (0.993, 0.497, 0.006)
O (0.996, 0.498, 0.505)



7.
VASP calculation (GGA+U) on a relaxed LiFe2OF5 crystal.

a b c (Å): 18.443 4.728 4.728
angles (deg): 90.00 90.00 90.00
Element x y z (fractional)
Li (0.000, 0.000, 0.000)
Li (0.250, 0.522, 0.497)
Li (0.500, 0.000, 0.000)
Li (0.750, 0.497, 0.522)
Fe (0.080, 0.520, 0.527)
Fe (0.170, 0.003, 0.027)
Fe (0.330, 0.003, 0.027)
Fe (0.420, 0.520, 0.527)
Fe (0.580, 0.527, 0.520)
Fe (0.670, 0.027, 0.003)
Fe (0.830, 0.027, 0.003)
Fe (0.920, 0.527, 0.520)
O (0.000, 0.698, 0.698)
O (0.250, 0.828, 0.201)
O (0.500, 0.698, 0.698)
O (0.750, 0.201, 0.828)
F (0.000, 0.311, 0.311)
F (0.086, 0.809, 0.210)
F (0.089, 0.207, 0.812)
F (0.161, 0.317, 0.312)
F (0.164, 0.715, 0.710)
F (0.250, 0.214, 0.813)
F (0.336, 0.715, 0.710)
F (0.339, 0.317, 0.312)
F (0.411, 0.207, 0.812)
F (0.414, 0.809, 0.210)
F (0.500, 0.311, 0.311)
F (0.586, 0.210, 0.809)
F (0.589, 0.812, 0.207)
F (0.661, 0.312, 0.317)
F (0.664, 0.710, 0.715)
F (0.750, 0.813, 0.214)
F (0.836, 0.710, 0.715)
F (0.839, 0.312, 0.317)
F (0.911, 0.812, 0.207)
F (0.914, 0.210, 0.809)



8.
VASP calculation (GGA+U) on a relaxed Ba6MgCo2Sb4O18 crystal.

a b c (Å): 6.014 6.015 15.507
angles (deg): 89.98 89.45 60.05
Element x y z (fractional)
Ba (0.000, 0.000, 0.000)
Ba (0.003, 0.998, 0.350)
Ba (0.327, 0.337, 0.506)
Ba (0.349, 0.326, 0.823)
Ba (0.662, 0.669, 0.654)
Ba (0.674, 0.663, 0.214)
Mg (0.695, 0.654, 0.877)
Co (0.655, 0.672, 0.032)
Co (0.663, 0.670, 0.433)
Sb (0.020, 0.991, 0.766)
Sb (0.331, 0.334, 0.094)
Sb (0.338, 0.331, 0.280)
Sb (0.995, 0.003, 0.576)
O (0.015, 0.492, 0.023)
O (0.016, 0.492, 0.350)
O (0.153, 0.696, 0.678)
O (0.154, 0.153, 0.678)
O (0.189, 0.185, 0.189)
O (0.189, 0.625, 0.189)
O (0.327, 0.836, 0.506)
O (0.358, 0.821, 0.826)
O (0.481, 0.490, 0.016)
O (0.482, 0.028, 0.016)
O (0.499, 0.009, 0.347)
O (0.501, 0.490, 0.347)
O (0.628, 0.186, 0.185)
O (0.701, 0.151, 0.691)
O (0.821, 0.838, 0.510)
O (0.825, 0.341, 0.510)
O (0.885, 0.293, 0.846)
O (0.885, 0.824, 0.845)



Computed E, in the same sequence as the records: -6.82, -4.55, -7.28, -8.03, -6.18, -7.00, -5.42, -6.12 eV/atom.